Record 1
Computed, not measured: a relaxed CaTe4H4O6F8 crystal at the PBE level of DFT.

Total magnetic moment = 0.00 μB per cell
Space-group type = P1, No. 1

a = 5.5825 Å, b = 6.6859 Å, c = 11.8190 Å
α = 81.23°, β = 74.55°, γ = 60.42°
Positions (direct):
Ca 0.3586 0.6598 0.2256
O 0.7624 0.5630 0.4734
O 0.1170 0.1412 0.7240
O 0.9322 0.3540 0.2659
O 0.9552 0.0458 0.9947
O 0.6445 0.6395 0.7346
O 0.9499 0.9383 0.3371
F 0.4332 0.4235 0.3793
F 0.2456 0.0835 0.4213
F 0.6456 0.9405 0.5680
F 0.7896 0.9648 0.8121
F 0.9884 0.3976 0.8964
F 0.4284 0.4436 0.6546
F 0.4969 0.9205 0.1397
F 0.4091 0.5460 0.0427
H 0.8507 0.8604 0.3902
H 0.2025 0.2436 0.7129
H 0.0972 0.2259 0.2204
H 0.6928 0.7547 0.7508
Te 0.9485 0.7614 0.0616
Te 0.8328 0.2331 0.4250
Te 0.7997 0.2399 0.8597
Te 0.4653 0.7338 0.6007

=====

Record 2
Computed, not measured: a relaxed CaSb2H2F14 crystal at the PBE level of DFT.

Total magnetic moment = 0.00 μB per cell
Space-group type = P2_1/c, No. 14

a = 11.0628 Å, b = 9.5025 Å, c = 12.4783 Å
α = 59.82°, β = 90.00°, γ = 90.00°
Positions (direct):
F 0.2227 0.5578 0.7710
F 0.7456 0.1763 0.7007
F 0.9794 0.2252 0.8890
F 0.2022 0.3596 0.0171
F 0.5891 0.9766 0.1425
F 0.7820 0.3782 0.9512
F 0.7796 0.7002 0.7278
F 0.9357 0.7612 0.3414
F 0.0206 0.7748 0.1110
F 0.2820 0.6218 0.5488
F 0.0479 0.6312 0.8856
F 0.9109 0.9766 0.6425
F 0.6403 0.9989 0.5933
F 0.1085 0.5646 0.4231
F 0.4794 0.7748 0.6110
F 0.0891 0.0234 0.3575
F 0.4109 0.0234 0.8575
F 0.7544 0.1763 0.2007
F 0.7022 0.6404 0.4829
F 0.5354 0.2249 0.9143
F 0.0643 0.2388 0.6586
F 0.2773 0.5578 0.2710
F 0.2544 0.8237 0.2993
F 0.7227 0.4422 0.7290
F 0.8550 0.9582 0.4335
F 0.4012 0.0483 0.6058
F 0.1403 0.0011 0.9067
F 0.7978 0.6404 0.9829
F 0.3550 0.0418 0.0665
F 0.8597 0.9989 0.0933
F 0.5988 0.9517 0.3942
F 0.5206 0.2252 0.3890
F 0.4357 0.2388 0.1586
F 0.2456 0.8237 0.7993
F 0.6450 0.9582 0.9335
F 0.7773 0.4422 0.2290
F 0.2204 0.2998 0.2722
F 0.0988 0.0483 0.1058
F 0.3597 0.0011 0.4067
F 0.7204 0.7002 0.2278
F 0.7180 0.3782 0.4512
F 0.1450 0.0418 0.5665
F 0.6085 0.4354 0.0769
F 0.2978 0.3596 0.5171
F 0.2796 0.2998 0.7722
F 0.5479 0.3688 0.6144
F 0.2180 0.6218 0.0488
F 0.9012 0.9517 0.8942
F 0.4646 0.7751 0.0857
F 0.4521 0.6312 0.3856
F 0.9521 0.3688 0.1144
F 0.0354 0.7751 0.5857
F 0.5643 0.7612 0.8414
F 0.3915 0.5646 0.9231
F 0.9646 0.2249 0.4143
F 0.8915 0.4354 0.5769
Ca 0.7505 0.8897 0.7920
Ca 0.2495 0.1103 0.2080
Ca 0.7495 0.8897 0.2920
Ca 0.2505 0.1103 0.7080
Sb 0.5000 0.0000 0.5000
Sb 0.7161 0.4065 0.5903
Sb 0.0000 0.0000 0.0000
Sb 0.5000 0.0000 0.0000
Sb 0.7839 0.4065 0.0903
Sb 0.2839 0.5935 0.4097
Sb 0.2161 0.5935 0.9097
Sb 0.0000 0.0000 0.5000
H 0.0032 0.3232 0.6215
H 0.9968 0.6768 0.3785
H 0.7555 0.5949 0.7408
H 0.2555 0.4051 0.7592
H 0.5032 0.6768 0.8785
H 0.4968 0.3232 0.1215
H 0.7445 0.5949 0.2408
H 0.2445 0.4051 0.2592

=====

Record 3
Computed, not measured: a relaxed CaHfTlF7 crystal at the PBE level of DFT.

Total magnetic moment = 0.00 μB per cell
Space-group type = Cmcm, No. 63

a = 6.6354 Å, b = 6.6354 Å, c = 8.6043 Å
α = 90.00°, β = 90.00°, γ = 116.76°
Positions (direct):
Tl 0.0000 0.0000 0.0000
Tl 0.0000 0.0000 0.5000
Ca 0.3095 0.6905 0.7500
Ca 0.6905 0.3095 0.2500
F 0.5124 0.4876 0.7500
F 0.2972 0.7028 0.0159
F 0.6489 0.9337 0.2500
F 0.9795 0.6712 0.2500
F 0.6712 0.9795 0.7500
F 0.2972 0.7028 0.4841
F 0.0663 0.3511 0.2500
F 0.4876 0.5124 0.2500
F 0.7028 0.2972 0.9841
F 0.0205 0.3288 0.7500
F 0.9337 0.6489 0.7500
F 0.7028 0.2972 0.5159
F 0.3511 0.0663 0.7500
F 0.3288 0.0205 0.2500
Hf 0.6931 0.3069 0.7500
Hf 0.3069 0.6931 0.2500

=====

Record 4
Computed, not measured: a relaxed KLi3Ca7Ti2Si12O36F2 crystal at the PBE level of DFT.

Space-group type = C2/c, No. 15

a = 20.1118 Å, b = 20.1118 Å, c = 21.0945 Å
α = 27.55°, β = 27.55°, γ = 28.28°
Positions (direct):
O 0.9263 0.6206 0.7573
O 0.3981 0.2116 0.0861
O 0.3222 0.8244 0.0131
O 0.6019 0.7884 0.9139
O 0.7519 0.3928 0.7001
O 0.8984 0.9220 0.5303
O 0.0294 0.7279 0.6816
O 0.2557 0.0610 0.5281
O 0.3794 0.0737 0.7427
O 0.4688 0.7567 0.5829
O 0.7000 0.6973 0.1597
O 0.3928 0.7519 0.2001
O 0.0737 0.3794 0.2427
O 0.4534 0.4440 0.4117
O 0.7884 0.6019 0.4139
O 0.1140 0.5922 0.0997
O 0.4167 0.1258 0.0185
O 0.2051 0.8245 0.8107
O 0.9706 0.2721 0.3184
O 0.2433 0.5312 0.9171
O 0.7383 0.6903 0.2611
O 0.9220 0.8984 0.0303
O 0.6973 0.7000 0.6597
O 0.2721 0.9706 0.8184
O 0.5637 0.1172 0.3778
O 0.8245 0.2051 0.3107
O 0.4412 0.6015 0.3992
O 0.5466 0.5560 0.5883
O 0.8308 0.2645 0.9649
O 0.0610 0.2557 0.0281
O 0.3000 0.3027 0.8403
O 0.4078 0.8860 0.4003
O 0.0352 0.3499 0.4595
O 0.9648 0.6501 0.5405
O 0.2645 0.8308 0.4649
O 0.8244 0.3222 0.5131
O 0.6072 0.2481 0.7999
O 0.2116 0.3981 0.5861
O 0.7279 0.0294 0.1816
O 0.5560 0.5466 0.0883
O 0.8828 0.4363 0.1222
O 0.6015 0.4412 0.8992
O 0.1755 0.7949 0.6893
O 0.2617 0.3097 0.7389
O 0.7443 0.9390 0.4719
O 0.3097 0.2617 0.2389
O 0.5588 0.3985 0.6008
O 0.0780 0.1016 0.9697
O 0.7949 0.1755 0.1893
O 0.7567 0.4688 0.0829
O 0.3027 0.3000 0.3403
O 0.9390 0.7443 0.9719
O 0.4440 0.4534 0.9117
O 0.3985 0.5588 0.1008
O 0.5312 0.2433 0.4171
O 0.1172 0.5637 0.8778
O 0.6778 0.1756 0.9869
O 0.7355 0.1692 0.5351
O 0.6206 0.9263 0.2573
O 0.6903 0.7383 0.7611
O 0.4363 0.8828 0.6222
O 0.8742 0.5833 0.4815
O 0.3499 0.0352 0.9595
O 0.1258 0.4167 0.5185
O 0.1692 0.7355 0.0351
O 0.5833 0.8742 0.9815
O 0.2481 0.6072 0.2999
O 0.1756 0.6778 0.4869
O 0.6501 0.9648 0.0405
O 0.5922 0.1140 0.5997
O 0.8860 0.4078 0.9003
O 0.1016 0.0780 0.4697
Ca 0.7072 0.8524 0.4277
Ca 0.0000 0.0000 0.0000
Ca 0.1378 0.5715 0.2839
Ca 0.4336 0.7110 0.8555
Ca 0.5715 0.1378 0.7839
Ca 0.0000 0.0000 0.5000
Ca 0.2928 0.1476 0.5723
Ca 0.8622 0.4285 0.7161
Ca 0.1476 0.2928 0.0723
Ca 0.2890 0.5664 0.6445
Ca 0.8524 0.7072 0.9277
Ca 0.5664 0.2890 0.1445
Ca 0.7110 0.4336 0.3555
Ca 0.4285 0.8622 0.2161
F 0.0329 0.1705 0.7551
F 0.8295 0.9671 0.7449
F 0.9671 0.8295 0.2449
F 0.1705 0.0329 0.2551
Ti 0.5950 0.7354 0.4177
Ti 0.7354 0.5950 0.9177
Ti 0.2646 0.4050 0.0823
Ti 0.4050 0.2646 0.5823
Si 0.8794 0.3487 0.1322
Si 0.1077 0.7545 0.9977
Si 0.2455 0.8923 0.5023
Si 0.3885 0.6291 0.1220
Si 0.7335 0.0041 0.1216
Si 0.7536 0.7693 0.1150
Si 0.6115 0.3709 0.8780
Si 0.9959 0.2665 0.3784
Si 0.2464 0.2307 0.8850
Si 0.1206 0.6513 0.8678
Si 0.7545 0.1077 0.4977
Si 0.2307 0.2464 0.3850
Si 0.3709 0.6115 0.3780
Si 0.1419 0.5108 0.4882
Si 0.8581 0.4892 0.5118
Si 0.6291 0.3885 0.6220
Si 0.6513 0.1206 0.3678
Si 0.4892 0.8581 0.0118
Si 0.8923 0.2455 0.0023
Si 0.0041 0.7335 0.6216
Si 0.5108 0.1419 0.9882
Si 0.7693 0.7536 0.6150
Si 0.2665 0.9959 0.8784
Si 0.3487 0.8794 0.6322
Li 0.5636 0.9290 0.7561
Li 0.9290 0.5636 0.2561
Li 0.0710 0.4364 0.7439
Li 0.5834 0.4166 0.2500
Li 0.4166 0.5834 0.7500
Li 0.4364 0.0710 0.2439
K 0.9291 0.0709 0.7500
K 0.0709 0.9291 0.2500

=====

Record 5
Computed, not measured: a relaxed KCaNb2O6F crystal at the PBE level of DFT.

Total magnetic moment = 0.00 μB per cell
Space-group type = Imma, No. 74

a = 7.5924 Å, b = 7.5924 Å, c = 7.5924 Å
α = 120.91°, β = 119.49°, γ = 89.65°
Positions (direct):
O 0.5582 0.9279 0.2412
O 0.4312 0.6812 0.7500
O 0.8133 0.6830 0.7412
O 0.5688 0.3188 0.2500
O 0.1912 0.9412 0.2500
O 0.5582 0.3170 0.6302
O 0.8133 0.0721 0.1302
O 0.4418 0.0721 0.7588
O 0.8088 0.0588 0.7500
O 0.1867 0.9279 0.8698
O 0.1867 0.3170 0.2588
O 0.4418 0.6830 0.3698
Nb 0.5000 0.5000 0.5000
Nb 0.5000 0.0000 0.5000
Nb 0.5000 0.0000 0.0000
Nb 0.0000 0.0000 0.0000
K 0.0000 0.5000 0.0000
K 0.0000 0.0000 0.5000
Ca 0.0000 0.5000 0.5000
Ca 0.5000 0.5000 0.0000
F 0.1532 0.4032 0.7500
F 0.8468 0.5968 0.2500

=====

Record 6
Computed, not measured: a relaxed NaCaLaF6 crystal at the PBE level of DFT.

Total magnetic moment = 0.00 μB per cell
Space-group type = P3, No. 143

a = 3.7878 Å, b = 6.1683 Å, c = 6.1683 Å
α = 120.00°, β = 90.00°, γ = 90.00°
Positions (direct):
F 0.7550 0.3889 0.3080
F 0.2461 0.0830 0.3874
F 0.2461 0.6126 0.6955
F 0.2461 0.3045 0.9170
F 0.7550 0.9191 0.6111
F 0.7550 0.6920 0.0809
Ca 0.7430 0.3333 0.6667
La 0.2577 0.6667 0.3333
Na 0.9960 0.0000 0.0000

=====

Record 7
Computed, not measured: a relaxed LiCaF3 crystal at the PBE level of DFT.

Total magnetic moment = 0.00 μB per cell
Space-group type = Pm-3m, No. 221

a = 3.7612 Å, b = 3.7612 Å, c = 3.7612 Å
α = 90.00°, β = 90.00°, γ = 90.00°
Positions (direct):
F 0.5000 0.0000 0.5000
F 0.5000 0.5000 0.0000
F 0.0000 0.5000 0.5000
Li 0.5000 0.5000 0.5000
Ca 0.0000 0.0000 0.0000

=====

Record 8
Computed, not measured: a relaxed LiCaUF8 crystal at the PBE level of DFT.

Total magnetic moment = 1.00 μB per cell
Space-group type = I-4, No. 82
Maximum piezoelectric response = 0.3 C/m²

a = 6.6587 Å, b = 6.6587 Å, c = 6.6587 Å
α = 133.06°, β = 133.06°, γ = 68.57°
Positions (direct):
F 0.2518 0.3574 0.4554
F 0.6426 0.0980 0.8944
F 0.2036 0.7482 0.1056
F 0.1408 0.1834 0.6276
F 0.9020 0.7964 0.5446
F 0.5557 0.5131 0.3724
F 0.8166 0.4443 0.9574
F 0.4869 0.8592 0.0426
U 0.5000 0.5000 0.0000
Ca 0.2500 0.7500 0.5000
Li 0.0000 0.0000 0.0000

=====

Record 9
Computed, not measured: a relaxed NaCaMg2F7 crystal at the PBE level of DFT.

Total magnetic moment = 0.00 μB per cell
Space-group type = Imma, No. 74

a = 7.3437 Å, b = 7.3437 Å, c = 7.3437 Å
α = 121.06°, β = 118.83°, γ = 90.11°
Positions (direct):
Mg 0.5000 0.5000 0.5000
Mg 0.5000 0.0000 0.5000
Mg 0.5000 0.0000 0.0000
Mg 0.0000 0.0000 0.0000
F 0.8254 0.6685 0.7384
F 0.4301 0.0871 0.7616
F 0.8254 0.0871 0.1569
F 0.4184 0.6684 0.7500
F 0.5699 0.9129 0.2384
F 0.5816 0.3316 0.2500
F 0.1746 0.9129 0.8431
F 0.1746 0.3315 0.2616
F 0.1782 0.9282 0.2500
F 0.4301 0.6685 0.3431
F 0.8686 0.6186 0.2500
F 0.8218 0.0718 0.7500
F 0.1314 0.3814 0.7500
F 0.5699 0.3315 0.6569
Ca 0.5000 0.5000 0.0000
Ca 0.0000 0.5000 0.5000
Na 0.0000 0.0000 0.5000
Na 0.0000 0.5000 0.0000

=====

Record 10
Computed, not measured: a relaxed Na2CaMg5Si8O22F2 crystal at the PBE level of DFT.

Total magnetic moment = 0.00 μB per cell
Space-group type = P1, No. 1

a = 5.3298 Å, b = 9.9753 Å, c = 10.3861 Å
α = 61.34°, β = 83.42°, γ = 76.23°
Positions (direct):
Mg 0.9996 0.1824 0.6355
Mg 0.5007 0.9110 0.1763
Mg 0.9999 0.8217 0.3559
Mg 0.5005 0.0902 0.8186
Mg 0.0000 0.9999 0.9989
O 0.7049 0.3404 0.0001
O 0.5820 0.5411 0.2356
O 0.7826 0.1957 0.8317
O 0.7291 0.0478 0.6660
O 0.4144 0.2256 0.2323
O 0.2031 0.1121 0.4964
O 0.7984 0.3919 0.4966
O 0.2176 0.9723 0.8322
O 0.7835 0.0260 0.1703
O 0.2041 0.6130 0.5073
O 0.9145 0.4761 0.7432
O 0.7239 0.7126 0.3396
O 0.2947 0.6590 0.0001
O 0.2718 0.2858 0.6662
O 0.0871 0.7809 0.7422
O 0.0807 0.5278 0.2534
O 0.9215 0.2188 0.2525
O 0.4186 0.4628 0.7630
O 0.7970 0.8802 0.5069
O 0.2771 0.9475 0.3396
O 0.5788 0.7760 0.7602
O 0.2161 0.8043 0.1697
F 0.7095 0.8994 0.0005
F 0.2887 0.1020 0.0008
Na 0.0838 0.4560 0.0235
Na 0.5000 0.2757 0.4499
Si 0.2936 0.6372 0.1688
Si 0.2019 0.1155 0.3423
Si 0.8004 0.8845 0.6599
Si 0.7071 0.1940 0.1687
Si 0.7082 0.3618 0.8321
Si 0.7984 0.5419 0.3412
Si 0.1999 0.4554 0.6591
Si 0.2923 0.8057 0.8323
Ca 0.5002 0.7242 0.5526

=====

We obtain calculated volume values of 369.64; 1133.94; 338.25; 1637.27; 308.46; 124.81; 53.21; 154.80; 280.16; 470.60 Å³ per cell for the records listed above, in that order.
We obtain formation energy from the elements values of -1.97; -2.75; -3.81; -3.36; -3.19; -4.06; -3.61; -3.82; -3.78; -3.26 eV per atom for the records listed above, in that order.